Entry 1:
! LiH2N, optimized geometry, DFT PBE-GGA; values from VASP
! E above lowest polymorph	0.4	kJ/mol of atoms
! ΔE_f	-0.588	eV per atom
! SG	No. 70
! spin magnetization	0.00	μB per cell
&SYSTEM
  ibrav = 0, nat = 16, ntyp = 3
/
ATOMIC_SPECIES
N 14.01 N.upf
H 1.01 H.upf
Li 6.94 Li.upf
ATOMIC_POSITIONS angstrom
N 3.008 0.072 2.913
H 0.273 1.711 1.604
Li 2.356 -0.078 4.882
N -0.282 0.846 1.616
H 0.193 0.274 0.907
H 0.208 2.155 4.784
Li 1.020 -0.526 2.791
H 1.666 3.959 3.466
N -1.149 4.160 1.461
N 2.142 3.386 2.757
H -1.241 3.451 2.199
H 3.100 0.782 2.175
H 1.586 2.522 2.770
Li 0.840 4.759 1.583
Li -0.496 4.311 -0.509
H 1.652 2.078 -0.410
CELL_PARAMETERS angstrom
1.775 4.063 -2.003
-3.740 2.499 1.854
3.824 -2.330 4.522



Entry 2:
! LiH2N, optimized geometry, DFT PBE-GGA; values from VASP
! E above lowest polymorph	3.1	kJ/mol of atoms
! ΔE_f	-0.560	eV per atom
! SG	No. 113
! spin magnetization	0.00	μB per cell
&SYSTEM
  ibrav = 0, nat = 8, ntyp = 3
/
ATOMIC_SPECIES
N 14.01 N.upf
H 1.01 H.upf
Li 6.94 Li.upf
ATOMIC_POSITIONS angstrom
N 1.875 0.000 1.012
H 2.428 3.198 1.685
N 0.000 1.875 3.105
H 1.323 0.553 1.685
H 3.198 1.323 2.432
H 0.553 2.428 2.432
Li 1.875 1.875 0.000
Li 0.000 0.000 0.000
CELL_PARAMETERS angstrom
3.751 0.000 0.000
0.000 3.751 0.000
0.000 0.000 4.117



Entry 3:
! LiH2N, optimized geometry, DFT PBE-GGA; values from VASP
! E above lowest polymorph	0.0	kJ/mol of atoms
! ΔE_f	-0.592	eV per atom
! SG	No. 82
! largest piezoelectric modulus	0.3	C/m²
&SYSTEM
  ibrav = 0, nat = 16, ntyp = 3
/
ATOMIC_SPECIES
H 1.01 H.upf
N 14.01 N.upf
Li 6.94 Li.upf
ATOMIC_POSITIONS angstrom
H 0.471 0.841 3.966
N 1.386 1.291 4.062
Li 2.543 0.000 2.632
H -0.592 1.151 1.995
H 0.841 -0.471 6.563
Li 0.000 0.000 0.000
Li 2.543 0.000 5.181
H -1.391 3.135 3.269
H 0.592 3.934 1.995
N 1.156 1.251 -1.202
H 1.702 3.014 1.299
N -1.291 1.386 6.467
N 3.834 1.156 1.202
H 2.072 1.702 -1.299
H 1.391 1.951 3.269
Li 2.543 0.000 0.083
CELL_PARAMETERS angstrom
-2.543 2.543 5.264
2.543 -2.543 5.264
2.543 2.543 -5.264



Entry 4:
! Li2HN, optimized geometry, DFT PBE-GGA; values from VASP
! E above lowest polymorph	3.0	kJ/mol of atoms
! ΔE_f	-0.553	eV per atom
! SG	No. 77
! spin magnetization	0.00	μB per cell
&SYSTEM
  ibrav = 0, nat = 16, ntyp = 3
/
ATOMIC_SPECIES
Li 6.94 Li.upf
N 14.01 N.upf
H 1.01 H.upf
ATOMIC_POSITIONS angstrom
Li 0.000 -0.001 0.010
Li -0.368 2.407 0.396
N -1.798 3.191 4.259
H -4.093 1.412 4.138
Li -2.432 -0.550 2.887
N -3.805 0.412 4.081
Li -0.372 2.264 2.667
H -3.188 3.259 1.575
Li -2.436 -0.692 5.159
Li -2.800 1.885 2.841
N -4.190 2.971 1.561
H -2.406 0.681 1.415
Li -2.795 2.053 0.171
Li -0.005 -0.168 2.680
N -1.405 0.968 1.439
H -1.510 2.192 4.191
CELL_PARAMETERS angstrom
-0.735 4.845 0.303
-4.854 -0.733 -0.054
-0.009 -0.335 5.340



Entry 5:
! LiH2N, optimized geometry, DFT PBE-GGA; values from VASP
! E above lowest polymorph	22.1	kJ/mol of atoms
! ΔE_f	-0.363	eV per atom
! SG	No. 62
! spin magnetization	0.00	μB per cell
&SYSTEM
  ibrav = 0, nat = 16, ntyp = 3
/
ATOMIC_SPECIES
Li 6.94 Li.upf
H 1.01 H.upf
N 14.01 N.upf
ATOMIC_POSITIONS angstrom
Li 0.921 0.432 1.965
H 1.841 2.466 2.759
H 0.000 0.000 0.000
H 2.762 3.911 1.126
H 0.921 3.488 3.885
H 0.921 1.021 4.393
N 2.762 1.490 2.670
H 1.841 0.000 0.000
N 0.921 3.443 2.848
H 2.762 1.445 1.634
Li 2.762 2.035 4.724
H 0.000 2.466 2.759
N 2.762 3.956 0.089
Li 0.921 2.898 0.795
Li 2.762 4.501 3.554
N 0.921 0.977 5.430
CELL_PARAMETERS angstrom
3.682 0.000 0.000
0.000 4.933 0.000
0.000 0.000 5.519



Entry 6:
! Li15H9N8, optimized geometry, DFT PBE-GGA; values from VASP
! ΔE_f	-0.579	eV per atom
! SG	No. 7
&SYSTEM
  ibrav = 0, nat = 64, ntyp = 3
/
ATOMIC_SPECIES
Li 6.94 Li.upf
N 14.01 N.upf
H 1.01 H.upf
ATOMIC_POSITIONS angstrom
Li 9.346 1.558 4.567
N 0.151 1.906 6.186
Li 2.556 1.702 6.341
N 2.536 3.614 4.571
Li 1.093 7.206 6.169
Li 9.487 3.633 3.134
N 10.325 5.463 2.873
Li 6.378 1.684 0.920
Li 9.132 7.326 6.420
N 5.143 1.916 2.639
Li 4.039 5.277 0.920
N 5.369 5.601 6.411
H 3.087 4.494 4.542
H 0.190 5.485 7.164
N 7.589 3.850 0.789
N 5.048 2.008 6.411
H 2.184 6.689 1.078
H 5.681 2.028 5.588
N 7.957 3.957 4.592
H 7.331 0.901 4.542
Li 6.169 3.709 2.282
H 7.696 4.294 3.648
Li 1.072 5.151 4.567
N 5.274 5.509 2.639
Li 1.565 1.784 1.309
Li 7.862 5.295 6.341
N 7.746 7.126 0.927
H 0.461 5.535 1.999
Li 6.406 5.612 0.986
Li 9.325 3.613 6.169
H 7.350 3.136 4.701
Li 9.001 0.098 2.678
N 7.882 7.207 4.571
N 2.829 0.257 0.789
H 2.170 4.436 0.816
Li 4.011 2.022 4.480
N 10.267 5.499 6.186
Li 6.581 0.192 6.316
Li 4.012 2.019 0.986
Li 1.180 2.182 4.502
H 4.566 5.496 3.396
Li 8.852 5.377 1.309
Li 1.286 3.733 6.420
N 2.672 3.533 0.927
Li 9.237 5.775 4.502
H 3.067 6.729 4.701
H 8.234 3.096 1.078
N 0.093 1.870 2.873
Li 6.139 3.754 6.661
H 2.722 0.701 3.648
Li 0.931 7.225 3.134
Li 1.416 3.691 2.678
Li 6.597 7.186 2.732
H 10.228 1.893 7.164
Li 4.279 0.161 6.661
Li 3.837 3.785 6.316
H 8.247 0.843 0.816
Li 6.407 5.615 4.480
H 5.852 1.903 3.396
N 2.460 0.364 4.592
H 9.957 1.942 1.999
H 4.737 5.621 5.588
Li 4.249 0.116 2.282
Li 3.821 3.593 2.732
CELL_PARAMETERS angstrom
10.418 0.000 0.000
0.000 7.186 0.000
0.000 0.174 7.184



Entry 7:
! Li2HN, optimized geometry, DFT PBE-GGA; values from VASP
! E above lowest polymorph	0.8	kJ/mol of atoms
! ΔE_f	-0.575	eV per atom
! SG	No. 74
! spin magnetization	0.00	μB per cell
&SYSTEM
  ibrav = 0, nat = 32, ntyp = 3
/
ATOMIC_SPECIES
H 1.01 H.upf
Li 6.94 Li.upf
N 14.01 N.upf
ATOMIC_POSITIONS angstrom
H 3.550 -0.584 3.081
Li -1.775 1.782 2.522
Li 3.550 1.782 3.862
N 1.847 1.782 0.088
Li 1.656 -0.054 3.879
Li 1.775 1.782 2.522
Li 1.894 -0.054 1.166
Li 3.550 1.782 -1.247
Li 3.550 1.782 1.068
H 0.000 4.149 1.963
Li 0.000 1.782 3.976
N 5.253 1.782 0.088
H 0.000 0.584 8.126
H 1.001 1.782 -0.510
Li 5.206 -0.054 1.166
Li 1.656 0.054 6.210
N 3.550 3.345 2.428
Li 0.000 1.782 6.291
H 2.549 -1.782 4.535
Li 0.000 1.782 1.183
N 3.550 0.219 2.428
H 2.549 1.782 5.554
N -1.703 1.782 4.957
Li 1.894 3.511 -1.166
H 3.550 2.981 -3.081
Li 1.894 3.619 1.166
Li -1.656 3.619 3.879
H 1.001 5.347 0.510
N 0.000 3.345 2.617
N 1.703 1.782 4.957
N 0.000 0.219 2.617
Li 1.656 3.619 3.879
CELL_PARAMETERS angstrom
-3.550 3.565 5.044
3.550 -3.565 5.044
3.550 3.565 -5.044



Entry 8:
! LiH2N, optimized geometry, DFT PBE-GGA; values from VASP
! E above lowest polymorph	9.2	kJ/mol of atoms
! ΔE_f	-0.496	eV per atom
! SG	No. 9
! spin magnetization	0.00	μB per cell
&SYSTEM
  ibrav = 0, nat = 8, ntyp = 3
/
ATOMIC_SPECIES
H 1.01 H.upf
N 14.01 N.upf
Li 6.94 Li.upf
ATOMIC_POSITIONS angstrom
H 0.111 2.409 4.455
N 1.130 2.301 4.552
H -2.375 3.444 5.372
Li 2.221 1.533 0.775
N -1.130 1.531 1.841
Li -2.221 2.303 3.486
H -0.111 1.639 1.743
H 2.375 2.674 2.660
CELL_PARAMETERS angstrom
3.575 1.763 0.000
-3.575 1.763 0.000
0.000 1.540 5.423



Entry 9:
! Li7H5N4, optimized geometry, DFT PBE-GGA; values from VASP
! ΔE_f	-0.580	eV per atom
! SG	No. 33
&SYSTEM
  ibrav = 0, nat = 64, ntyp = 3
/
ATOMIC_SPECIES
Li 6.94 Li.upf
N 14.01 N.upf
H 1.01 H.upf
ATOMIC_POSITIONS angstrom
Li 2.607 3.154 9.031
N 4.521 3.713 2.753
H 0.311 2.720 2.571
H 0.043 3.639 8.438
Li 4.787 5.578 3.731
H 6.283 1.182 5.801
N 2.533 1.662 10.483
Li 2.340 0.025 9.443
Li 0.858 5.857 0.859
H 3.909 4.549 8.084
Li 5.938 7.245 1.212
H 5.075 3.475 8.390
Li 0.708 5.467 6.696
Li 6.205 0.480 3.703
Li 4.787 1.943 1.596
Li 0.783 1.386 0.948
Li 2.340 3.660 6.540
N 0.923 7.191 8.081
Li 4.456 5.047 6.187
Li 6.548 3.560 6.438
N 0.665 3.643 2.882
N 6.131 1.973 5.155
H 5.075 7.110 7.594
N 6.131 5.608 0.173
Li 2.950 0.074 1.110
Li 4.306 1.802 3.960
Li 1.189 5.327 9.059
H 0.043 0.004 7.546
H 2.619 4.665 0.210
H 0.311 6.355 2.757
H 6.283 4.817 10.183
N 6.221 1.607 0.056
N 4.263 7.261 8.210
Li 2.950 3.709 4.218
Li 4.306 5.437 1.368
N 0.923 3.557 7.902
Li 0.858 2.223 4.469
Li 2.607 6.789 6.953
Li 6.548 7.195 9.545
N 2.533 5.297 5.501
N 4.263 3.626 7.774
Li 4.381 2.249 6.276
Li 5.938 3.610 4.116
H 3.641 7.266 3.110
H 1.477 0.159 3.062
Li 6.205 4.115 1.625
Li 0.783 5.021 4.380
H 2.619 1.030 5.118
H 2.685 2.453 0.473
N 6.221 5.242 5.272
H 1.477 3.794 2.266
H 6.217 6.240 5.537
N 4.521 0.078 2.574
H 2.685 6.088 4.855
N 2.623 2.028 5.384
N 2.623 5.663 10.600
Li 1.189 1.692 6.924
H 3.909 0.915 7.899
Li 4.456 1.412 9.796
N 0.665 0.009 2.446
H 6.217 2.605 10.446
H 3.641 3.631 2.218
Li 4.381 5.884 9.708
Li 0.708 1.833 9.287
CELL_PARAMETERS angstrom
7.196 0.000 0.000
0.000 7.270 0.000
0.000 0.000 10.656



Entry 10:
! Li2HN, optimized geometry, DFT PBE-GGA; values from VASP
! E above lowest polymorph	0.8	kJ/mol of atoms
! ΔE_f	-0.575	eV per atom
! SG	No. 46
! spin magnetization	0.00	μB per cell
&SYSTEM
  ibrav = 0, nat = 32, ntyp = 3
/
ATOMIC_SPECIES
N 14.01 N.upf
Li 6.94 Li.upf
H 1.01 H.upf
ATOMIC_POSITIONS angstrom
N -1.590 -5.032 -1.926
Li -5.277 2.043 0.534
N -1.276 -1.506 -1.522
H -2.352 -3.087 1.719
H -2.213 -0.780 2.050
Li -4.139 -0.019 1.398
H -2.292 -1.419 -1.701
N -5.528 -0.664 5.376
H -3.974 -0.215 -1.150
Li -1.004 -1.824 0.578
Li -3.037 1.871 0.790
Li -0.887 -5.663 2.181
N -4.754 1.741 2.419
N -4.367 0.578 -0.610
Li -0.564 -3.247 -2.523
Li -1.128 -5.330 -0.043
Li -5.371 -1.469 -0.058
H -2.684 -2.158 3.620
H -4.113 -2.522 -1.481
Li -5.788 -0.020 3.048
H -4.114 -1.878 2.266
N -0.813 -2.636 -4.822
Li -1.693 -3.968 3.538
H -3.646 -1.133 -3.129
N -1.974 -3.878 1.164
Li -4.344 -3.403 0.912
N -5.127 -1.789 2.073
Li -2.029 0.135 -0.367
Li -2.237 -3.304 -0.860
Li -1.752 -1.181 -3.590
Li -4.663 0.646 -3.021
Li -4.593 -2.118 4.140
CELL_PARAMETERS angstrom
-1.346 -4.317 5.546
-5.896 3.732 1.583
0.921 -2.719 -6.554



Entry 11:
! LiH2N, optimized geometry, DFT PBE-GGA; values from VASP
! E above lowest polymorph	3.9	kJ/mol of atoms
! ΔE_f	-0.551	eV per atom
! SG	No. 138
! spin magnetization	0.00	μB per cell
&SYSTEM
  ibrav = 0, nat = 16, ntyp = 3
/
ATOMIC_SPECIES
H 1.01 H.upf
Li 6.94 Li.upf
N 14.01 N.upf
ATOMIC_POSITIONS angstrom
H 3.207 1.327 0.350
Li 0.000 0.000 2.060
H 1.327 0.553 7.889
N 1.880 0.000 3.086
Li 0.000 0.000 6.179
H 2.434 0.553 3.769
N 0.000 1.880 1.034
H 0.553 2.434 0.350
Li 1.880 1.880 2.060
H 2.434 3.207 7.889
Li 1.880 1.880 6.179
H 1.327 3.207 3.769
N 0.000 1.880 5.153
N 1.880 0.000 7.205
H 0.553 1.327 4.470
H 3.207 2.434 4.470
CELL_PARAMETERS angstrom
3.760 0.000 0.000
0.000 3.760 0.000
0.000 0.000 8.239



E (MP2020) list, top to bottom, in eV for the cell shown: -77.53, -38.54, -77.60, -71.03, -73.94, -288.78, -142.79, -38.03, -291.80, -142.78, -76.94